Entry 1:
The following is a DFT calculation (PBE+U) of a relaxed Ni2S3N2O12 crystal.

Unit cell a=10.009 b=10.009 c=10.009 alpha=90.00 beta=90.00 gamma=90.00
Atoms (fractional coordinates):
Ni 0.099 0.099 0.099
Ni 0.164 0.336 0.664
Ni 0.336 0.664 0.164
Ni 0.401 0.901 0.599
Ni 0.599 0.401 0.901
Ni 0.664 0.164 0.336
Ni 0.836 0.836 0.836
Ni 0.901 0.599 0.401
S 0.017 0.784 0.124
S 0.124 0.017 0.784
S 0.216 0.624 0.483
S 0.284 0.376 0.983
S 0.376 0.983 0.284
S 0.483 0.216 0.624
S 0.517 0.716 0.876
S 0.624 0.483 0.216
S 0.716 0.876 0.517
S 0.784 0.124 0.017
S 0.876 0.517 0.716
S 0.983 0.284 0.376
N 0.048 0.952 0.452
N 0.184 0.684 0.816
N 0.316 0.316 0.316
N 0.452 0.048 0.952
N 0.548 0.548 0.548
N 0.684 0.816 0.184
N 0.816 0.184 0.684
N 0.952 0.452 0.048
O 0.000 0.440 0.733
O 0.000 0.940 0.767
O 0.012 0.926 0.169
O 0.042 0.196 0.273
O 0.060 0.267 0.500
O 0.074 0.669 0.488
O 0.099 0.158 0.747
O 0.158 0.747 0.099
O 0.169 0.012 0.926
O 0.196 0.273 0.042
O 0.227 0.958 0.696
O 0.233 0.500 0.560
O 0.247 0.401 0.842
O 0.253 0.599 0.342
O 0.267 0.500 0.060
O 0.273 0.042 0.196
O 0.304 0.727 0.542
O 0.331 0.988 0.426
O 0.342 0.253 0.599
O 0.401 0.842 0.247
O 0.426 0.331 0.988
O 0.440 0.733 0.000
O 0.458 0.804 0.773
O 0.488 0.074 0.669
O 0.500 0.060 0.267
O 0.500 0.560 0.233
O 0.512 0.574 0.831
O 0.542 0.304 0.727
O 0.560 0.233 0.500
O 0.574 0.831 0.512
O 0.599 0.342 0.253
O 0.658 0.753 0.901
O 0.669 0.488 0.074
O 0.696 0.227 0.958
O 0.727 0.542 0.304
O 0.733 0.000 0.440
O 0.747 0.099 0.158
O 0.753 0.901 0.658
O 0.767 0.000 0.940
O 0.773 0.458 0.804
O 0.804 0.773 0.458
O 0.831 0.512 0.574
O 0.842 0.247 0.401
O 0.901 0.658 0.753
O 0.926 0.169 0.012
O 0.940 0.767 0.000
O 0.958 0.696 0.227
O 0.988 0.426 0.331

## Properties
Its total magnetization is 10.61 μB/f.u. Its space group is P2_13 (198).

Entry 2:
The following is a DFT calculation (PBE+U) of a relaxed Sr2NiN6O12 crystal.

Unit cell a=7.141 b=7.141 c=7.141 alpha=60.00 beta=60.00 gamma=60.00
Atoms (fractional coordinates):
Sr 0.250 0.250 0.250
Sr 0.750 0.750 0.750
Ni 0.000 0.000 0.000
N 0.189 0.189 0.811
N 0.189 0.811 0.189
N 0.189 0.811 0.811
N 0.811 0.189 0.189
N 0.811 0.189 0.811
N 0.811 0.811 0.189
O 0.000 0.000 0.341
O 0.000 0.000 0.659
O 0.000 0.341 0.000
O 0.000 0.341 0.659
O 0.000 0.659 0.000
O 0.000 0.659 0.341
O 0.341 0.000 0.000
O 0.341 0.000 0.659
O 0.341 0.659 0.000
O 0.659 0.000 0.000
O 0.659 0.000 0.341
O 0.659 0.341 0.000

## Properties
Its total magnetization is 0.00 μB/f.u. Its space group is Fm-3m (225).

Entry 3:
The following is a DFT calculation (PBE+U) of a relaxed V2P2NO11 crystal.

Unit cell a=9.781 b=9.952 c=11.999 alpha=90.00 beta=127.36 gamma=90.00
Atoms (fractional coordinates):
V 0.018 0.051 0.398
V 0.018 0.449 0.898
V 0.297 0.691 0.600
V 0.297 0.809 0.100
V 0.703 0.191 0.900
V 0.703 0.309 0.400
V 0.982 0.551 0.102
V 0.982 0.949 0.602
P 0.161 0.686 0.798
P 0.161 0.814 0.298
P 0.345 0.012 0.698
P 0.345 0.488 0.198
P 0.655 0.512 0.802
P 0.655 0.988 0.302
P 0.839 0.186 0.702
P 0.839 0.314 0.202
N 0.378 0.177 0.991
N 0.378 0.323 0.491
N 0.622 0.677 0.509
N 0.622 0.823 0.009
O 0.018 0.706 0.204
O 0.018 0.794 0.704
O 0.046 0.616 0.002
O 0.046 0.884 0.502
O 0.074 0.556 0.792
O 0.074 0.944 0.292
O 0.140 0.588 0.500
O 0.140 0.912 0.000
O 0.218 0.011 0.737
O 0.218 0.489 0.237
O 0.222 0.145 0.186
O 0.222 0.355 0.686
O 0.253 0.082 0.551
O 0.253 0.418 0.051
O 0.270 0.676 0.746
O 0.270 0.824 0.246
O 0.287 0.731 0.952
O 0.287 0.769 0.452
O 0.405 0.627 0.195
O 0.405 0.873 0.695
O 0.499 0.101 0.811
O 0.499 0.399 0.311
O 0.501 0.601 0.689
O 0.501 0.899 0.189
O 0.595 0.127 0.305
O 0.595 0.373 0.805
O 0.713 0.231 0.548
O 0.713 0.269 0.048
O 0.730 0.176 0.754
O 0.730 0.324 0.254
O 0.747 0.582 0.949
O 0.747 0.918 0.449
O 0.778 0.645 0.314
O 0.778 0.855 0.814
O 0.782 0.511 0.763
O 0.782 0.989 0.263
O 0.860 0.088 0.000
O 0.860 0.412 0.500
O 0.926 0.056 0.708
O 0.926 0.444 0.208
O 0.954 0.116 0.498
O 0.954 0.384 0.998
O 0.982 0.206 0.296
O 0.982 0.294 0.796

## Properties
Its total magnetization is 5.00 μB/f.u. Its space group is P2_1/c (14).

Entry 4:
The following is a DFT calculation (PBE+U) of a relaxed VZn2P4N3O16 crystal.

Unit cell a=10.680 b=10.680 c=15.720 alpha=119.89 beta=119.89 gamma=27.85
Atoms (fractional coordinates):
V 0.000 0.000 0.000
V 0.000 0.000 0.500
Zn 0.285 0.387 0.609
Zn 0.387 0.285 0.109
Zn 0.613 0.715 0.891
Zn 0.715 0.613 0.391
P 0.109 0.219 0.012
P 0.219 0.109 0.512
P 0.428 0.434 0.848
P 0.434 0.428 0.348
P 0.566 0.572 0.652
P 0.572 0.566 0.152
P 0.781 0.891 0.488
P 0.891 0.781 0.988
N 0.038 0.962 0.250
N 0.157 0.239 0.767
N 0.239 0.157 0.267
N 0.761 0.843 0.733
N 0.843 0.761 0.233
N 0.962 0.038 0.750
O 0.060 0.241 0.419
O 0.080 0.120 0.534
O 0.120 0.080 0.034
O 0.190 0.491 0.007
O 0.203 0.740 0.889
O 0.214 0.264 0.603
O 0.241 0.060 0.919
O 0.260 0.797 0.611
O 0.264 0.214 0.103
O 0.274 0.699 0.418
O 0.301 0.726 0.082
O 0.351 0.360 0.344
O 0.360 0.351 0.844
O 0.374 0.457 0.243
O 0.457 0.374 0.743
O 0.491 0.190 0.507
O 0.509 0.810 0.493
O 0.543 0.626 0.257
O 0.626 0.543 0.757
O 0.640 0.649 0.156
O 0.649 0.640 0.656
O 0.699 0.274 0.918
O 0.726 0.301 0.582
O 0.736 0.786 0.897
O 0.740 0.203 0.389
O 0.759 0.940 0.081
O 0.786 0.736 0.397
O 0.797 0.260 0.111
O 0.810 0.509 0.993
O 0.880 0.920 0.966
O 0.920 0.880 0.466
O 0.940 0.759 0.581

## Properties
Its total magnetization is 6.01 μB/f.u. Its space group is C2/c (15).

Entry 5:
The following is a DFT calculation (PBE+U) of a relaxed SmW4S2NO8 crystal.

Unit cell a=6.391 b=20.535 c=9.008 alpha=90.00 beta=91.15 gamma=90.00
Atoms (fractional coordinates):
Sm 0.119 0.138 0.204
Sm 0.119 0.362 0.704
Sm 0.881 0.638 0.296
Sm 0.881 0.862 0.796
W 0.208 0.502 0.912
W 0.208 0.998 0.412
W 0.220 0.530 0.576
W 0.220 0.970 0.076
W 0.228 0.652 0.758
W 0.228 0.848 0.258
W 0.233 0.083 0.847
W 0.233 0.417 0.347
W 0.767 0.583 0.653
W 0.767 0.917 0.153
W 0.772 0.152 0.742
W 0.772 0.348 0.242
W 0.780 0.030 0.924
W 0.780 0.470 0.424
W 0.792 0.002 0.588
W 0.792 0.498 0.088
S 0.146 0.222 0.577
S 0.146 0.278 0.077
S 0.328 0.594 0.217
S 0.328 0.906 0.717
S 0.672 0.094 0.283
S 0.672 0.406 0.783
S 0.854 0.722 0.923
S 0.854 0.778 0.423
N 0.447 0.603 0.686
N 0.447 0.897 0.186
N 0.553 0.103 0.814
N 0.553 0.397 0.314
O 0.056 0.740 0.414
O 0.056 0.760 0.914
O 0.109 0.165 0.684
O 0.109 0.335 0.184
O 0.184 0.637 0.130
O 0.184 0.863 0.630
O 0.188 0.196 0.430
O 0.188 0.304 0.930
O 0.216 0.586 0.363
O 0.216 0.914 0.863
O 0.317 0.236 0.132
O 0.317 0.264 0.632
O 0.360 0.530 0.142
O 0.360 0.970 0.642
O 0.470 0.125 0.253
O 0.470 0.375 0.753
O 0.530 0.625 0.247
O 0.530 0.875 0.747
O 0.640 0.030 0.358
O 0.640 0.470 0.858
O 0.683 0.736 0.368
O 0.683 0.764 0.868
O 0.784 0.086 0.137
O 0.784 0.414 0.637
O 0.812 0.696 0.070
O 0.812 0.804 0.570
O 0.816 0.137 0.370
O 0.816 0.363 0.870
O 0.891 0.665 0.816
O 0.891 0.835 0.316
O 0.944 0.240 0.086
O 0.944 0.260 0.586

## Properties
Its total magnetization is 14.00 μB/f.u. Its space group is P2_1/c (14).

Entry 6:
The following is a DFT calculation (PBE+U) of a relaxed V3S2NO12 crystal.

Unit cell a=7.940 b=20.391 c=7.945 alpha=90.00 beta=93.56 gamma=90.00
Atoms (fractional coordinates):
V 0.033 0.000 0.271
V 0.034 0.863 0.267
V 0.068 0.430 0.352
V 0.281 0.268 0.401
V 0.282 0.592 0.400
V 0.342 0.430 0.615
V 0.658 0.930 0.385
V 0.718 0.092 0.600
V 0.719 0.768 0.599
V 0.932 0.930 0.648
V 0.966 0.363 0.733
V 0.967 0.500 0.729
S 0.120 0.067 0.641
S 0.122 0.793 0.634
S 0.336 0.292 0.803
S 0.339 0.568 0.802
S 0.661 0.068 0.198
S 0.664 0.792 0.197
S 0.878 0.293 0.366
S 0.880 0.567 0.359
N 0.058 0.173 0.007
N 0.418 0.928 0.894
N 0.582 0.428 0.106
N 0.942 0.673 0.993
O 0.051 0.259 0.328
O 0.055 0.600 0.320
O 0.101 0.863 0.704
O 0.102 0.997 0.706
O 0.106 0.432 0.813
O 0.116 0.065 0.448
O 0.117 0.798 0.442
O 0.121 0.931 0.403
O 0.145 0.299 0.813
O 0.147 0.565 0.807
O 0.166 0.014 0.132
O 0.167 0.851 0.127
O 0.173 0.430 0.187
O 0.191 0.369 0.497
O 0.191 0.492 0.496
O 0.342 0.666 0.333
O 0.347 0.197 0.323
O 0.358 0.257 0.628
O 0.368 0.601 0.625
O 0.405 0.498 0.781
O 0.408 0.310 0.278
O 0.408 0.362 0.776
O 0.411 0.554 0.272
O 0.498 0.932 0.497
O 0.502 0.432 0.503
O 0.589 0.054 0.728
O 0.592 0.810 0.722
O 0.592 0.862 0.224
O 0.595 0.998 0.219
O 0.632 0.101 0.375
O 0.642 0.757 0.372
O 0.653 0.697 0.677
O 0.658 0.166 0.667
O 0.809 0.869 0.503
O 0.809 0.992 0.504
O 0.827 0.930 0.813
O 0.833 0.351 0.873
O 0.834 0.514 0.868
O 0.853 0.065 0.193
O 0.855 0.799 0.187
O 0.879 0.431 0.597
O 0.883 0.298 0.558
O 0.884 0.565 0.552
O 0.894 0.932 0.187
O 0.898 0.497 0.294
O 0.899 0.363 0.296
O 0.945 0.100 0.680
O 0.949 0.759 0.672

## Properties
Its total magnetization is 3.97 μB/f.u. Its space group is P2_1 (4).

Entry 7:
The following is a DFT calculation (PBE+U) of a relaxed VS2NO9 crystal.

Unit cell a=5.054 b=9.158 c=17.430 alpha=90.00 beta=90.00 gamma=90.00
Atoms (fractional coordinates):
V 0.243 0.152 0.195
V 0.257 0.848 0.695
V 0.743 0.348 0.805
V 0.757 0.652 0.305
S 0.229 0.385 0.923
S 0.249 0.753 0.199
S 0.251 0.247 0.699
S 0.271 0.615 0.423
S 0.729 0.115 0.077
S 0.749 0.747 0.801
S 0.751 0.253 0.301
S 0.771 0.885 0.577
N 0.245 0.100 0.451
N 0.255 0.900 0.951
N 0.745 0.400 0.549
N 0.755 0.600 0.049
O 0.000 0.167 0.279
O 0.000 0.667 0.221
O 0.020 0.934 0.619
O 0.031 0.343 0.733
O 0.051 0.574 0.367
O 0.226 0.230 0.939
O 0.233 0.249 0.617
O 0.242 0.316 0.165
O 0.248 0.523 0.491
O 0.250 0.104 0.736
O 0.250 0.896 0.236
O 0.252 0.477 0.991
O 0.258 0.684 0.665
O 0.267 0.751 0.117
O 0.274 0.770 0.439
O 0.449 0.426 0.867
O 0.469 0.657 0.233
O 0.480 0.066 0.119
O 0.500 0.333 0.721
O 0.500 0.833 0.779
O 0.520 0.566 0.381
O 0.531 0.157 0.267
O 0.551 0.926 0.633
O 0.726 0.270 0.061
O 0.733 0.251 0.383
O 0.742 0.184 0.835
O 0.748 0.977 0.509
O 0.750 0.396 0.264
O 0.750 0.604 0.764
O 0.752 0.023 0.009
O 0.758 0.816 0.335
O 0.767 0.749 0.883
O 0.774 0.730 0.561
O 0.949 0.074 0.133
O 0.969 0.843 0.767
O 0.980 0.434 0.881

## Properties
Its total magnetization is 3.16 μB/f.u. Its space group is P2_12_12_1 (19).

| no. | energy of formation from the pure elements (kJ per mole of atoms) |
| --- | --- |
| 1 | -80 |
| 2 | 45 |
| 3 | -160 |
| 4 | -129 |
| 5 | -55 |
| 6 | -141 |
| 7 | -117 |